TlAsO4, optimized geometry, DFT r2SCAN; uncorrected energy = -16.4238 eV/atom; space-group type = I4_1/a
1.0
-2.460 2.460 5.833
2.460 -2.460 5.833
2.460 2.460 -5.833
Tl As O
2 2 8
Cartesian
0.000 1.230 1.458
2.460 1.230 4.374
2.460 1.230 -1.458
0.000 1.230 7.291
1.233 0.446 -0.557
1.676 -0.003 2.359
1.676 2.457 -2.359
1.227 -0.446 5.275
1.233 2.906 0.557
0.784 0.003 8.192
0.784 2.462 3.474
1.227 2.014 6.390

Yb4As2O, optimized geometry, DFT r2SCAN; uncorrected energy = -27.5845 eV/atom; space-group type = I4/mmm
1.0
-2.128 2.128 7.846
2.128 -2.128 7.846
2.128 2.128 -7.846
Yb As O
4 2 1
Cartesian
2.128 0.000 0.000
0.000 0.000 2.861
0.000 2.128 0.000
0.000 0.000 12.832
0.000 0.000 5.744
0.000 0.000 9.949
0.000 0.000 0.000

As2Os, optimized geometry, DFT r2SCAN; uncorrected energy = -27.7707 eV/atom; space-group type = Pnnm
1.0
5.419 0.000 0.000
0.000 6.210 0.000
0.000 0.000 3.043
As Os
4 2
Cartesian
0.926 0.831 0.000
1.784 3.936 1.522
3.636 2.274 1.522
4.493 5.379 0.000
0.000 3.105 0.000
2.710 0.000 1.522

AsOsSe, optimized geometry, DFT r2SCAN; uncorrected energy = -27.6484 eV/atom; space-group type = P2_1/c
1.0
6.131 0.000 0.000
0.000 6.093 0.000
-2.360 0.000 5.736
As Os Se
4 4 4
Cartesian
-0.018 0.808 2.188
-1.198 2.239 5.055
4.970 3.854 0.680
3.790 5.285 3.548
-0.194 0.018 4.555
0.986 3.029 1.687
2.786 3.065 4.049
3.965 6.075 1.181
0.468 3.826 3.948
1.648 5.314 1.080
2.123 0.779 4.656
3.303 2.267 1.788

As2P2S7, optimized geometry, DFT r2SCAN; uncorrected energy = -9.6600 eV/atom; space-group type = P2_1/c
1.0
12.196 0.000 0.000
0.000 8.438 0.000
-0.982 0.000 11.469
As P S
8 8 28
Cartesian
1.663 0.964 3.728
1.172 3.254 9.462
3.111 4.900 9.851
3.602 7.757 4.116
7.611 0.681 7.353
8.102 3.538 1.618
10.041 5.183 2.007
9.550 7.473 7.742
1.319 5.651 7.036
1.810 7.006 1.301
4.065 1.233 1.336
3.573 2.986 7.071
7.640 5.452 4.398
7.149 7.205 10.133
9.404 1.432 10.168
9.895 2.787 4.434
-0.084 4.481 8.034
0.407 8.175 2.299
0.998 5.743 0.087
0.507 6.914 5.821
2.186 1.804 8.054
2.678 2.415 2.319
2.552 4.392 5.866
3.043 8.265 0.132
2.934 6.069 2.760
2.443 6.588 8.495
4.673 1.986 5.832
5.164 2.233 0.097
5.180 0.260 2.784
4.689 3.959 8.518
6.524 4.479 2.951
6.033 8.178 8.686
6.049 6.205 11.372
6.540 6.451 5.637
8.771 1.850 2.975
8.279 2.369 8.709
8.170 0.173 11.338
8.662 4.046 5.603
8.536 6.023 9.150
9.027 6.634 3.416
10.707 1.524 5.648
10.216 2.695 11.383
10.806 0.262 9.171
11.297 3.957 3.436

AsPd3, optimized geometry, DFT r2SCAN; uncorrected energy = -21.2620 eV/atom; space-group type = I-4
1.0
-5.035 5.035 2.424
5.035 -5.035 2.424
5.035 5.035 -2.424
As Pd
4 12
Cartesian
7.236 0.433 -0.093
0.433 2.835 0.093
4.602 2.200 2.517
-2.200 4.602 2.331
6.783 2.813 -1.194
4.724 1.361 0.103
3.915 4.260 -1.156
1.120 0.775 1.268
3.674 -0.311 2.321
-1.748 2.222 1.230
1.361 5.346 -0.103
2.813 3.287 1.194
5.810 3.915 1.156
-0.775 1.120 3.580
0.311 3.674 2.527
2.222 1.748 3.618

As2Pd5, optimized geometry, DFT r2SCAN; uncorrected energy = -20.9528 eV/atom; space-group type = P6_3cm
1.0
7.354 0.000 0.000
-3.677 6.368 0.000
0.000 0.000 13.818
As Pd
12 30
Cartesian
0.000 0.000 0.000
0.000 0.000 6.909
-1.201 2.080 3.731
-2.476 4.288 10.640
2.402 0.000 3.731
1.201 2.080 10.640
0.000 4.246 0.557
0.000 4.246 7.465
3.677 2.123 0.557
3.677 2.123 7.465
4.951 0.000 10.640
2.476 4.288 3.731
0.000 0.000 2.808
0.000 0.000 9.717
-0.882 1.527 12.015
-1.088 1.885 1.055
-1.423 2.465 9.418
-1.462 2.532 6.385
-2.215 3.836 13.294
-2.254 3.903 2.509
-2.588 4.483 7.964
-2.795 4.841 5.106
1.764 0.000 12.015
0.882 1.527 5.106
2.177 0.000 1.055
1.088 1.885 7.964
0.000 4.246 4.529
0.000 4.246 11.438
2.847 0.000 9.418
1.423 2.465 2.509
2.924 0.000 6.385
1.462 2.532 13.294
4.430 0.000 13.294
2.215 3.836 6.385
4.507 0.000 2.509
2.254 3.903 9.418
3.677 2.123 4.529
3.677 2.123 11.438
5.177 0.000 7.964
2.588 4.483 1.055
5.590 0.000 5.106
2.795 4.841 12.015

As2Pd, optimized geometry, DFT r2SCAN; uncorrected energy = -17.8106 eV/atom; space-group type = Pa-3
1.0
6.028 0.000 0.000
0.000 6.028 0.000
0.000 0.000 6.028
As Pd
8 4
Cartesian
0.698 0.698 0.698
0.698 2.316 3.712
2.316 3.712 0.698
2.316 5.329 3.712
3.712 0.698 2.316
3.712 2.316 5.329
5.329 3.712 2.316
5.329 5.329 5.329
0.000 0.000 3.014
0.000 3.014 0.000
3.014 0.000 0.000
3.014 3.014 3.014

AsPd5, optimized geometry, DFT r2SCAN; uncorrected energy = -21.8549 eV/atom; space-group type = C2/m
1.0
2.784 -3.882 0.000
2.784 3.882 0.000
-1.277 0.000 8.419
As Pd
2 10
Cartesian
1.000 0.000 1.792
3.291 0.000 6.627
2.784 2.458 0.000
2.167 2.023 2.742
0.781 0.000 4.260
2.124 2.023 5.677
0.893 0.000 7.174
3.398 0.000 1.245
2.167 -2.023 2.742
3.510 0.000 4.158
2.124 -2.023 5.677
2.784 -2.458 0.000

Rb2As2Pd, optimized geometry, DFT r2SCAN; uncorrected energy = -16.6626 eV/atom; space-group type = Cmcm
1.0
3.381 -7.399 0.000
3.381 7.399 0.000
0.000 0.000 6.180
Rb As Pd
4 4 2
Cartesian
3.381 6.164 4.635
3.381 3.058 1.545
3.381 -3.058 4.635
3.381 -6.164 1.545
2.177 1.576 4.635
2.177 -1.576 1.545
4.584 1.576 4.635
4.584 -1.576 1.545
3.381 0.000 0.000
3.381 0.000 3.090

AsPdS, optimized geometry, DFT r2SCAN; uncorrected energy = -15.6376 eV/atom; space-group type = P2_13
1.0
5.993 0.000 0.000
0.000 5.993 0.000
0.000 0.000 5.993
As Pd S
4 4 4
Cartesian
0.671 0.671 0.671
2.326 5.322 3.667
3.667 2.326 5.322
5.322 3.667 2.326
0.005 5.989 2.992
2.992 0.005 5.989
3.001 3.001 3.001
5.989 2.992 0.005
0.635 2.361 3.632
2.361 3.632 0.635
3.632 0.635 2.361
5.358 5.358 5.358

SbAsPd, optimized geometry, DFT r2SCAN; uncorrected energy = -21.4647 eV/atom; space-group type = P2_13
1.0
6.278 0.000 0.000
0.000 6.278 0.000
0.000 0.000 6.278
Sb As Pd
4 4 4
Cartesian
0.751 2.388 3.890
2.388 3.890 0.751
3.890 0.751 2.388
5.527 5.527 5.527
0.773 0.773 0.773
2.366 5.505 3.912
3.912 2.366 5.505
5.505 3.912 2.366
0.056 6.222 3.083
3.083 0.056 6.222
3.195 3.195 3.195
6.222 3.083 0.056

SmAs2Pd3, optimized geometry, DFT r2SCAN; uncorrected energy = -22.2155 eV/atom; space-group type = C2/m
1.0
8.322 -2.044 0.000
8.322 2.044 0.000
-3.060 0.000 9.556
Sm As Pd
3 6 9
Cartesian
0.000 0.000 0.000
0.418 0.000 6.694
13.165 0.000 2.862
2.918 0.000 1.252
4.384 0.000 5.219
7.019 0.000 2.038
6.565 0.000 7.519
9.200 0.000 4.337
10.666 0.000 8.304
-0.298 0.000 3.169
2.507 0.000 3.725
5.240 0.000 0.326
3.824 0.000 7.646
6.792 0.000 4.778
9.760 0.000 1.910
8.343 0.000 9.230
11.077 0.000 5.831
13.882 0.000 6.387

TbAsPd, optimized geometry, DFT r2SCAN; uncorrected energy = -24.2833 eV/atom; space-group type = Pnma
1.0
7.087 0.000 0.000
0.000 4.134 0.000
0.000 0.000 7.916
Tb As Pd
4 4 4
Cartesian
0.206 1.034 1.529
3.337 3.101 5.487
3.750 1.034 2.429
6.880 3.101 6.387
1.767 1.034 6.974
1.776 3.101 3.016
5.311 1.034 4.900
5.319 3.101 0.942
1.029 1.034 4.458
2.514 3.101 0.500
4.572 1.034 7.416
6.058 3.101 3.458

TlAsPd5, optimized geometry, DFT r2SCAN; uncorrected energy = -26.4702 eV/atom; space-group type = P4/mmm
1.0
4.040 0.000 0.000
0.000 4.040 0.000
0.000 0.000 7.106
Tl As Pd
1 1 5
Cartesian
0.000 0.000 0.000
2.020 2.020 3.553
0.000 2.020 2.080
0.000 2.020 5.025
2.020 0.000 2.080
2.020 0.000 5.025
2.020 2.020 0.000

TmAsPd, optimized geometry, DFT r2SCAN; uncorrected energy = -25.5605 eV/atom; space-group type = Pnma
1.0
6.976 0.000 0.000
0.000 4.063 0.000
0.000 0.000 7.867
Tm As Pd
4 4 4
Cartesian
0.239 1.016 1.509
3.249 3.047 5.442
3.727 1.016 2.425
6.737 3.047 6.358
1.699 1.016 6.913
1.789 3.047 2.980
5.187 1.016 4.887
5.277 3.047 0.954
0.989 1.016 4.429
2.499 3.047 0.496
4.477 1.016 7.371
5.987 3.047 3.438

UAs2Pd, optimized geometry, DFT r2SCAN; uncorrected energy = -33.8816 eV/atom; space-group type = P4/nmm
1.0
3.979 0.000 0.000
0.000 3.979 0.000
0.000 0.000 9.749
U As Pd
2 4 2
Cartesian
0.995 0.995 2.293
2.984 2.984 7.456
0.995 0.995 6.636
0.995 2.984 0.000
2.984 0.995 0.000
2.984 2.984 3.113
0.995 2.984 4.874
2.984 0.995 4.874

PmAs3, optimized geometry, DFT r2SCAN; distance to the lowest polymorph of the same formula = 0 meV per atom; space-group type = Pm-3m
1.0
4.406 0.000 0.000
0.000 4.406 0.000
0.000 0.000 4.406
Pm As
1 3
Cartesian
0.000 0.000 0.000
0.000 2.203 2.203
2.203 0.000 2.203
2.203 2.203 0.000

PmAs3, optimized geometry, DFT r2SCAN; distance to the lowest polymorph of the same formula = 10 meV per atom; space-group type = I4/mmm
1.0
-2.067 2.067 5.063
2.067 -2.067 5.063
2.067 2.067 -5.063
Pm As
1 3
Cartesian
0.000 0.000 0.000
2.067 0.000 2.532
0.000 0.000 5.063
0.000 2.067 2.532